Record 1
DFT (PBE+U) results for an optimized crystal structure of La2MgMnZnO6. Values from VASP.

## Properties
- raw total energy (eV per atom) = -7.022
- space group = P1
- total magnetization (μB/atom) = 0.45

Quantum ESPRESSO input file:
```
&SYSTEM
  ibrav = 0, nat = 11, ntyp = 5
/
ATOMIC_SPECIES
La 138.91 La.upf
Mg 24.30 Mg.upf
Mn 54.94 Mn.upf
Zn 65.41 Zn.upf
O 16.00 O.upf
CELL_PARAMETERS angstrom
5.699 0.000 0.000
2.847 4.958 0.000
0.006 3.279 5.654
ATOMIC_POSITIONS crystal
La 0.000 0.000 0.000
La 0.461 0.078 0.386
Mg 0.811 0.378 0.440
Mn 0.650 0.700 0.944
Zn 0.224 0.549 0.679
O 0.015 0.243 0.204
O 0.213 0.206 0.683
O 0.444 0.539 0.201
O 0.578 0.536 0.687
O 0.735 0.818 0.199
O 0.883 0.892 0.689
```



Record 2
DFT (PBE+U) results for an optimized crystal structure of K3EuV2O8. Values from VASP.

## Properties
- raw total energy (eV per atom) = -7.027
- space group = P2_1/m
- total magnetization (μB/atom) = 0.43

Quantum ESPRESSO input file:
```
&SYSTEM
  ibrav = 0, nat = 28, ntyp = 4
/
ATOMIC_SPECIES
K 39.10 K.upf
Eu 151.96 Eu.upf
V 50.94 V.upf
O 16.00 O.upf
CELL_PARAMETERS angstrom
7.664 0.000 0.000
0.000 6.063 0.000
-0.200 0.000 10.048
ATOMIC_POSITIONS crystal
K 0.004 0.250 0.193
K 0.140 0.750 0.419
K 0.310 0.250 0.918
K 0.690 0.750 0.082
K 0.860 0.250 0.581
K 0.996 0.750 0.807
Eu 0.486 0.750 0.717
Eu 0.514 0.250 0.283
V 0.260 0.750 0.090
V 0.312 0.250 0.573
V 0.688 0.750 0.427
V 0.740 0.250 0.910
O 0.037 0.750 0.094
O 0.196 0.250 0.423
O 0.262 0.015 0.667
O 0.262 0.485 0.667
O 0.329 0.750 0.925
O 0.339 0.512 0.171
O 0.339 0.988 0.171
O 0.472 0.750 0.471
O 0.528 0.250 0.529
O 0.661 0.012 0.829
O 0.661 0.488 0.829
O 0.671 0.250 0.075
O 0.738 0.515 0.333
O 0.738 0.985 0.333
O 0.804 0.750 0.577
O 0.963 0.250 0.906
```



Record 3
DFT (PBE+U) results for an optimized crystal structure of Li6V3P8O29. Values from VASP.

## Properties
- raw total energy (eV per atom) = -7.017
- excess energy over the best structure of this formula in the dataset (eV/f.u.) = 0.19
- space group = P1
- total magnetization (μB/atom) = 0.07

Quantum ESPRESSO input file:
```
&SYSTEM
  ibrav = 0, nat = 92, ntyp = 4
/
ATOMIC_SPECIES
Li 6.94 Li.upf
V 50.94 V.upf
P 30.97 P.upf
O 16.00 O.upf
CELL_PARAMETERS angstrom
9.812 0.000 0.000
4.882 8.527 0.000
0.006 0.012 14.010
ATOMIC_POSITIONS crystal
Li 0.000 0.000 0.000
Li 0.003 0.438 0.549
Li 0.333 0.906 0.668
Li 0.349 0.762 0.178
Li 0.444 0.989 0.053
Li 0.567 0.006 0.550
Li 0.576 0.449 0.055
Li 0.633 0.658 0.602
Li 0.753 0.896 0.171
Li 0.763 0.339 0.671
Li 0.891 0.370 0.174
Li 0.903 0.768 0.672
V 0.102 0.242 0.359
V 0.103 0.672 0.863
V 0.231 0.110 0.861
V 0.236 0.669 0.365
V 0.667 0.240 0.858
V 0.668 0.109 0.364
P 0.002 0.005 0.740
P 0.336 0.340 0.981
P 0.337 0.337 0.482
P 0.348 0.762 0.957
P 0.350 0.902 0.451
P 0.437 0.993 0.269
P 0.442 0.591 0.771
P 0.579 0.443 0.272
P 0.581 0.987 0.769
P 0.758 0.359 0.454
P 0.759 0.904 0.953
P 0.895 0.758 0.457
P 0.897 0.350 0.955
P 0.980 0.446 0.772
P 0.982 0.590 0.272
P 0.999 0.008 0.241
O 0.006 0.002 0.634
O 0.007 0.421 0.270
O 0.040 0.183 0.936
O 0.047 0.763 0.444
O 0.139 0.294 0.784
O 0.142 0.582 0.289
O 0.150 0.861 0.277
O 0.156 0.000 0.781
O 0.180 0.789 0.938
O 0.182 0.348 0.442
O 0.193 0.489 0.933
O 0.197 0.057 0.442
O 0.283 0.597 0.776
O 0.289 0.153 0.288
O 0.323 0.761 0.446
O 0.330 0.192 0.939
O 0.335 0.338 0.087
O 0.338 0.924 0.955
O 0.342 0.322 0.589
O 0.346 0.477 0.439
O 0.414 0.011 0.768
O 0.415 0.592 0.272
O 0.418 0.673 0.048
O 0.420 0.917 0.180
O 0.444 0.890 0.540
O 0.458 0.883 0.360
O 0.461 0.683 0.691
O 0.462 0.663 0.871
O 0.484 0.181 0.440
O 0.484 0.340 0.940
O 0.566 0.295 0.289
O 0.581 0.144 0.782
O 0.584 0.421 0.770
O 0.585 0.008 0.268
O 0.664 0.924 0.041
O 0.665 0.885 0.863
O 0.669 0.432 0.182
O 0.669 0.466 0.362
O 0.670 0.901 0.680
O 0.684 0.448 0.545
O 0.746 0.335 0.951
O 0.749 0.923 0.455
O 0.760 0.203 0.444
O 0.779 0.050 0.935
O 0.850 0.008 0.284
O 0.857 0.161 0.778
O 0.877 0.461 0.865
O 0.879 0.664 0.368
O 0.892 0.671 0.547
O 0.894 0.442 0.683
O 0.895 0.684 0.187
O 0.909 0.421 0.046
O 0.922 0.761 0.952
O 0.927 0.335 0.447
O 0.990 0.011 0.133
O 0.994 0.162 0.277
O 0.994 0.861 0.782
O 0.998 0.593 0.772
```



Record 4
DFT (PBE+U) results for an optimized crystal structure of Ho2Mn3Sb3O14. Values from VASP.

## Properties
- raw total energy (eV per atom) = -7.171
- space group = C2/m
- total magnetization (μB/atom) = 0.64

Quantum ESPRESSO input file:
```
&SYSTEM
  ibrav = 0, nat = 22, ntyp = 4
/
ATOMIC_SPECIES
Ho 164.93 Ho.upf
Mn 54.94 Mn.upf
Sb 121.76 Sb.upf
O 16.00 O.upf
CELL_PARAMETERS angstrom
6.266 -3.669 0.000
6.266 3.669 0.000
-4.115 0.000 5.954
ATOMIC_POSITIONS crystal
Ho 0.000 0.000 0.000
Ho 0.000 0.000 0.500
Mn 0.000 0.500 0.500
Mn 0.500 0.000 0.500
Mn 0.500 0.500 0.000
Sb 0.000 0.500 0.000
Sb 0.500 0.000 0.000
Sb 0.500 0.500 0.500
O 0.129 0.129 0.381
O 0.157 0.593 0.923
O 0.168 0.168 0.908
O 0.170 0.587 0.332
O 0.407 0.843 0.077
O 0.413 0.830 0.668
O 0.425 0.425 0.678
O 0.575 0.575 0.322
O 0.587 0.170 0.332
O 0.593 0.157 0.923
O 0.830 0.413 0.668
O 0.832 0.832 0.092
O 0.843 0.407 0.077
O 0.871 0.871 0.619
```



Record 5
DFT (PBE+U) results for an optimized crystal structure of CrWO6. Values from VASP.

## Properties
- raw total energy (eV per atom) = -6.901
- excess energy over the best structure of this formula in the dataset (eV/f.u.) = 0.00
- space group = Cm
- total magnetization (μB/atom) = 0.00

Quantum ESPRESSO input file:
```
&SYSTEM
  ibrav = 0, nat = 8, ntyp = 3
/
ATOMIC_SPECIES
Cr 52.00 Cr.upf
W 183.84 W.upf
O 16.00 O.upf
CELL_PARAMETERS angstrom
4.625 -2.678 0.000
4.625 2.678 0.000
-3.104 0.000 4.429
ATOMIC_POSITIONS crystal
Cr 0.000 0.000 0.000
W 0.500 0.500 0.496
O 0.219 0.219 0.173
O 0.221 0.733 0.169
O 0.223 0.740 0.686
O 0.733 0.221 0.169
O 0.736 0.736 0.678
O 0.740 0.223 0.686
```



Record 6
DFT (PBE+U) results for an optimized crystal structure of MgV2O4. Values from VASP.

## Properties
- raw total energy (eV per atom) = -7.453
- maximum piezoelectric response (C/m²) = 0.23
- excess energy over the best structure of this formula in the dataset (eV/f.u.) = 0.18
- space group = P1
- total magnetization (μB/atom) = 0.14

Quantum ESPRESSO input file:
```
&SYSTEM
  ibrav = 0, nat = 28, ntyp = 3
/
ATOMIC_SPECIES
Mg 24.30 Mg.upf
V 50.94 V.upf
O 16.00 O.upf
CELL_PARAMETERS angstrom
6.045 0.000 0.000
3.020 5.248 0.000
3.010 1.727 9.888
ATOMIC_POSITIONS crystal
Mg 0.000 0.000 0.000
Mg 0.063 0.561 0.312
Mg 0.500 0.500 0.500
Mg 0.563 0.061 0.812
V 0.064 0.053 0.312
V 0.070 0.554 0.812
V 0.133 0.112 0.622
V 0.317 0.305 0.060
V 0.564 0.554 0.812
V 0.571 0.053 0.312
V 0.633 0.611 0.122
V 0.818 0.804 0.560
O 0.161 0.704 0.435
O 0.197 0.182 0.425
O 0.200 0.204 0.935
O 0.201 0.663 0.930
O 0.433 0.416 0.189
O 0.433 0.941 0.192
O 0.434 0.433 0.701
O 0.463 0.913 0.689
O 0.661 0.207 0.935
O 0.696 0.681 0.926
O 0.699 0.704 0.435
O 0.704 0.162 0.430
O 0.932 0.917 0.689
O 0.933 0.933 0.201
O 0.936 0.441 0.692
O 0.963 0.415 0.188
```



Record 7
DFT (PBE+U) results for an optimized crystal structure of Sr2LaMnCoO7. Values from VASP.

## Properties
- raw total energy (eV per atom) = -6.900
- excess energy over the best structure of this formula in the dataset (eV/f.u.) = 0.00
- space group = C2
- total magnetization (μB/atom) = 0.25

Quantum ESPRESSO input file:
```
&SYSTEM
  ibrav = 0, nat = 24, ntyp = 5
/
ATOMIC_SPECIES
Sr 87.62 Sr.upf
La 138.91 La.upf
Mn 54.94 Mn.upf
Co 58.93 Co.upf
O 16.00 O.upf
CELL_PARAMETERS angstrom
2.755 -10.138 0.000
2.755 10.138 0.000
-0.039 0.000 5.509
ATOMIC_POSITIONS crystal
Sr 0.000 0.000 0.000
Sr 0.321 0.679 0.500
Sr 0.500 0.500 0.500
Sr 0.821 0.179 0.000
La 0.137 0.863 0.500
La 0.637 0.363 0.000
Mn 0.416 0.584 0.000
Mn 0.918 0.082 0.500
Co 0.224 0.776 0.000
Co 0.726 0.274 0.500
O 0.016 0.984 0.500
O 0.119 0.881 0.000
O 0.164 0.334 0.251
O 0.165 0.335 0.749
O 0.322 0.678 0.000
O 0.462 0.028 0.244
O 0.470 0.039 0.746
O 0.516 0.484 0.000
O 0.621 0.379 0.500
O 0.665 0.835 0.251
O 0.666 0.836 0.749
O 0.818 0.182 0.500
O 0.961 0.530 0.254
O 0.972 0.538 0.756
```



Record 8
DFT (PBE+U) results for an optimized crystal structure of ZnFeP2O7. Values from VASP.

## Properties
- raw total energy (eV per atom) = -6.757
- excess energy over the best structure of this formula in the dataset (eV/f.u.) = 0.14
- space group = P-1
- total magnetization (μB/atom) = 0.00

Quantum ESPRESSO input file:
```
&SYSTEM
  ibrav = 0, nat = 44, ntyp = 4
/
ATOMIC_SPECIES
Zn 65.41 Zn.upf
Fe 55.84 Fe.upf
P 30.97 P.upf
O 16.00 O.upf
CELL_PARAMETERS angstrom
7.328 0.000 0.000
-3.341 7.673 0.000
-2.218 -1.985 9.592
ATOMIC_POSITIONS crystal
Zn 0.108 0.047 0.376
Zn 0.108 0.547 0.876
Zn 0.892 0.453 0.124
Zn 0.892 0.953 0.624
Fe 0.192 0.153 0.957
Fe 0.192 0.653 0.457
Fe 0.808 0.347 0.543
Fe 0.808 0.847 0.043
P 0.237 0.348 0.665
P 0.237 0.849 0.165
P 0.311 0.401 0.265
P 0.311 0.901 0.765
P 0.689 0.099 0.235
P 0.689 0.599 0.735
P 0.763 0.151 0.835
P 0.763 0.652 0.335
O 0.135 0.656 0.081
O 0.136 0.155 0.581
O 0.143 0.460 0.590
O 0.143 0.961 0.089
O 0.147 0.465 0.292
O 0.147 0.964 0.791
O 0.221 0.859 0.316
O 0.222 0.359 0.816
O 0.286 0.357 0.111
O 0.287 0.857 0.611
O 0.328 0.263 0.350
O 0.328 0.763 0.850
O 0.475 0.418 0.667
O 0.475 0.918 0.167
O 0.525 0.082 0.833
O 0.525 0.582 0.333
O 0.672 0.237 0.150
O 0.672 0.737 0.650
O 0.713 0.143 0.389
O 0.714 0.643 0.889
O 0.778 0.641 0.184
O 0.779 0.141 0.684
O 0.853 0.036 0.209
O 0.853 0.535 0.708
O 0.857 0.039 0.911
O 0.857 0.540 0.410
O 0.864 0.845 0.419
O 0.865 0.344 0.919
```



Question: Which formula does entry 5 have?
Answer: CrWO6



Question: total magnetization of number 8 (ZnFeP2O7)?
Answer: 0.00 μB/atom



Question: Among the records above, which one has the lowest raw total energy?
Answer: MgV2O4



Question: The lowest raw total energy belongs to which entry?
Answer: MgV2O4